No. 1
# ThAlRh | the Materials Project database | r2SCAN | optimized geometry
# E_form ... -0.95 eV/atom
data_ThAlRh
_chemical_formula_sum 'Th3 Al3 Rh3'
_cell_length_a 7.173
_cell_length_b 7.173
_cell_length_c 4.148
_cell_angle_alpha 90.00
_cell_angle_beta 90.00
_cell_angle_gamma 120.00
_symmetry_space_group_name_H-M 'P 1'
_symmetry_Int_Tables_number 1
loop_
_symmetry_equiv_pos_as_xyz
'x,y,z'
loop_
_atom_site_label
_atom_site_fract_x
_atom_site_fract_y
_atom_site_fract_z
_atom_site_occupancy
Al1 0.773 0.000 0.000 1
Al2 0.227 0.227 0.000 1
Al3 0.000 0.773 0.000 1
Rh1 0.333 0.667 0.000 1
Rh2 0.000 0.000 0.500 1
Rh3 0.667 0.333 0.000 1
Th1 0.420 0.000 0.500 1
Th2 0.000 0.420 0.500 1
Th3 0.580 0.580 0.500 1


No. 2
# Dy2TeO6 | the Materials Project database | r2SCAN | optimized geometry
# E_form ... -2.84 eV/atom
# E above lowest polymorph ... 0.0136 eV/atom
data_Dy2TeO6
_chemical_formula_sum 'Dy6 Te3 O18'
_cell_length_a 9.034
_cell_length_b 9.033
_cell_length_c 5.185
_cell_angle_alpha 90.00
_cell_angle_beta 90.00
_cell_angle_gamma 120.00
_symmetry_space_group_name_H-M 'P 1'
_symmetry_Int_Tables_number 1
loop_
_symmetry_equiv_pos_as_xyz
'x,y,z'
loop_
_atom_site_label
_atom_site_fract_x
_atom_site_fract_y
_atom_site_fract_z
_atom_site_occupancy
Dy1 0.000 0.616 0.000 1
Dy2 0.000 0.279 0.500 1
Dy3 0.616 0.000 0.000 1
Dy4 0.279 0.000 0.500 1
Dy5 0.721 0.721 0.500 1
Dy6 0.384 0.384 0.000 1
O1 0.535 0.772 0.281 1
O2 0.411 0.866 0.707 1
O3 0.866 0.411 0.293 1
O4 0.124 0.199 0.789 1
O5 0.465 0.237 0.719 1
O6 0.772 0.535 0.719 1
O7 0.589 0.455 0.293 1
O8 0.237 0.465 0.281 1
O9 0.545 0.134 0.293 1
O10 0.876 0.075 0.211 1
O11 0.228 0.763 0.281 1
O12 0.925 0.801 0.211 1
O13 0.801 0.925 0.789 1
O14 0.075 0.876 0.789 1
O15 0.455 0.589 0.707 1
O16 0.134 0.545 0.707 1
O17 0.199 0.124 0.211 1
O18 0.763 0.228 0.719 1
Te1 0.667 0.333 0.505 1
Te2 0.000 0.000 0.000 1
Te3 0.333 0.667 0.495 1


No. 3
# EuNi10P6 | the Materials Project database | r2SCAN | optimized geometry
# E_form ... -0.43 eV/atom
data_EuNi10P6
_chemical_formula_sum 'Eu2 Ni20 P12'
_cell_length_a 8.551
_cell_length_b 8.551
_cell_length_c 8.639
_cell_angle_alpha 90.00
_cell_angle_beta 90.00
_cell_angle_gamma 136.26
_symmetry_space_group_name_H-M 'P 1'
_symmetry_Int_Tables_number 1
loop_
_symmetry_equiv_pos_as_xyz
'x,y,z'
loop_
_atom_site_label
_atom_site_fract_x
_atom_site_fract_y
_atom_site_fract_z
_atom_site_occupancy
Ni1 0.626 0.972 0.970 1
Ni2 0.706 0.294 0.211 1
Ni3 0.914 0.586 0.750 1
Ni4 0.206 0.794 0.289 1
Ni5 0.472 0.126 0.470 1
Ni6 0.957 0.043 0.881 1
Ni7 0.794 0.206 0.711 1
Ni8 0.028 0.374 0.970 1
Ni9 0.043 0.957 0.119 1
Ni10 0.374 0.028 0.030 1
Ni11 0.874 0.528 0.470 1
Ni12 0.586 0.914 0.250 1
Ni13 0.457 0.543 0.619 1
Ni14 0.126 0.472 0.530 1
Ni15 0.972 0.626 0.030 1
Ni16 0.414 0.086 0.750 1
Ni17 0.294 0.706 0.789 1
Ni18 0.543 0.457 0.381 1
Ni19 0.528 0.874 0.530 1
Ni20 0.086 0.414 0.250 1
P1 0.854 0.646 0.250 1
P2 0.292 0.708 0.072 1
P3 0.146 0.354 0.750 1
P4 0.646 0.854 0.750 1
P5 0.091 0.909 0.871 1
P6 0.354 0.146 0.250 1
P7 0.792 0.208 0.428 1
P8 0.208 0.792 0.572 1
P9 0.409 0.591 0.371 1
P10 0.708 0.292 0.928 1
P11 0.591 0.409 0.629 1
P12 0.909 0.091 0.129 1
Eu1 0.000 0.000 0.500 1
Eu2 0.500 0.500 0.000 1


No. 4
# K2UCl5 | the Materials Project database | r2SCAN | optimized geometry
# E_form ... -2.23 eV/atom
data_K2UCl5
_chemical_formula_sum 'K8 U4 Cl20'
_cell_length_a 8.001
_cell_length_b 8.805
_cell_length_c 12.769
_cell_angle_alpha 90.00
_cell_angle_beta 90.00
_cell_angle_gamma 90.00
_symmetry_space_group_name_H-M 'P 1'
_symmetry_Int_Tables_number 1
loop_
_symmetry_equiv_pos_as_xyz
'x,y,z'
loop_
_atom_site_label
_atom_site_fract_x
_atom_site_fract_y
_atom_site_fract_z
_atom_site_occupancy
Cl1 0.168 0.250 0.707 1
Cl2 0.664 0.457 0.081 1
Cl3 0.631 0.250 0.819 1
Cl4 0.072 0.250 0.994 1
Cl5 0.668 0.750 0.793 1
Cl6 0.836 0.043 0.581 1
Cl7 0.332 0.250 0.207 1
Cl8 0.131 0.750 0.681 1
Cl9 0.369 0.750 0.181 1
Cl10 0.428 0.250 0.494 1
Cl11 0.164 0.957 0.419 1
Cl12 0.836 0.457 0.581 1
Cl13 0.164 0.543 0.419 1
Cl14 0.832 0.750 0.293 1
Cl15 0.572 0.750 0.506 1
Cl16 0.336 0.957 0.919 1
Cl17 0.664 0.043 0.081 1
Cl18 0.928 0.750 0.006 1
Cl19 0.869 0.250 0.319 1
Cl20 0.336 0.543 0.919 1
K1 0.452 0.505 0.672 1
K2 0.952 0.495 0.828 1
K3 0.048 0.505 0.172 1
K4 0.452 0.995 0.672 1
K5 0.952 0.005 0.828 1
K6 0.548 0.495 0.328 1
K7 0.048 0.995 0.172 1
K8 0.548 0.005 0.328 1
U1 0.925 0.750 0.505 1
U2 0.425 0.250 0.995 1
U3 0.575 0.750 0.005 1
U4 0.075 0.250 0.495 1


No. 5
# Zr4Co4Ge7 | the Materials Project database | r2SCAN | optimized geometry
# E_form ... -0.58 eV/atom
data_Zr4Co4Ge7
_chemical_formula_sum 'Zr8 Co8 Ge14'
_cell_length_a 9.672
_cell_length_b 9.672
_cell_length_c 9.672
_cell_angle_alpha 94.15
_cell_angle_beta 94.15
_cell_angle_gamma 148.78
_symmetry_space_group_name_H-M 'P 1'
_symmetry_Int_Tables_number 1
loop_
_symmetry_equiv_pos_as_xyz
'x,y,z'
loop_
_atom_site_label
_atom_site_fract_x
_atom_site_fract_y
_atom_site_fract_z
_atom_site_occupancy
Ge1 0.000 0.706 0.706 1
Ge2 0.292 0.292 0.583 1
Ge3 0.706 0.000 0.706 1
Ge4 0.292 0.708 0.000 1
Ge5 0.751 0.751 0.000 1
Ge6 0.708 0.292 0.000 1
Ge7 0.294 0.000 0.294 1
Ge8 0.500 0.094 0.594 1
Ge9 0.500 0.906 0.406 1
Ge10 0.906 0.500 0.406 1
Ge11 0.249 0.249 0.000 1
Ge12 0.094 0.500 0.594 1
Ge13 0.708 0.708 0.417 1
Ge14 0.000 0.294 0.294 1
Zr1 0.861 0.139 0.000 1
Zr2 0.139 0.861 0.000 1
Zr3 0.500 0.304 0.804 1
Zr4 0.696 0.500 0.196 1
Zr5 0.139 0.139 0.278 1
Zr6 0.500 0.696 0.196 1
Zr7 0.861 0.861 0.722 1
Zr8 0.304 0.500 0.804 1
Co1 0.602 0.102 0.204 1
Co2 0.398 0.898 0.796 1
Co3 0.602 0.398 0.500 1
Co4 0.102 0.898 0.500 1
Co5 0.898 0.398 0.796 1
Co6 0.102 0.602 0.204 1
Co7 0.898 0.102 0.500 1
Co8 0.398 0.602 0.500 1


No. 6
# Ba4TiAs4 | the Materials Project database | r2SCAN | optimized geometry
# E_form ... -1.30 eV/atom
data_Ba4TiAs4
_chemical_formula_sum 'Ba32 Ti8 As32'
_cell_length_a 13.569
_cell_length_b 13.569
_cell_length_c 13.569
_cell_angle_alpha 90.00
_cell_angle_beta 90.00
_cell_angle_gamma 90.00
_symmetry_space_group_name_H-M 'P 1'
_symmetry_Int_Tables_number 1
loop_
_symmetry_equiv_pos_as_xyz
'x,y,z'
loop_
_atom_site_label
_atom_site_fract_x
_atom_site_fract_y
_atom_site_fract_z
_atom_site_occupancy
Ba1 0.852 0.852 0.148 1
Ba2 0.352 0.907 0.137 1
Ba3 0.863 0.352 0.093 1
Ba4 0.148 0.363 0.407 1
Ba5 0.148 0.637 0.593 1
Ba6 0.648 0.093 0.137 1
Ba7 0.852 0.637 0.407 1
Ba8 0.593 0.852 0.363 1
Ba9 0.593 0.148 0.637 1
Ba10 0.852 0.148 0.852 1
Ba11 0.863 0.648 0.907 1
Ba12 0.352 0.352 0.648 1
Ba13 0.093 0.863 0.352 1
Ba14 0.148 0.148 0.148 1
Ba15 0.637 0.407 0.852 1
Ba16 0.137 0.352 0.907 1
Ba17 0.648 0.352 0.352 1
Ba18 0.907 0.137 0.352 1
Ba19 0.852 0.363 0.593 1
Ba20 0.363 0.593 0.852 1
Ba21 0.907 0.863 0.648 1
Ba22 0.148 0.852 0.852 1
Ba23 0.648 0.648 0.648 1
Ba24 0.363 0.407 0.148 1
Ba25 0.093 0.137 0.648 1
Ba26 0.137 0.648 0.093 1
Ba27 0.648 0.907 0.863 1
Ba28 0.352 0.648 0.352 1
Ba29 0.407 0.852 0.637 1
Ba30 0.352 0.093 0.863 1
Ba31 0.407 0.148 0.363 1
Ba32 0.637 0.593 0.148 1
As1 0.889 0.395 0.851 1
As2 0.395 0.851 0.889 1
As3 0.389 0.649 0.105 1
As4 0.111 0.605 0.851 1
As5 0.895 0.389 0.351 1
As6 0.895 0.895 0.895 1
As7 0.105 0.389 0.649 1
As8 0.895 0.611 0.649 1
As9 0.605 0.605 0.395 1
As10 0.605 0.851 0.111 1
As11 0.395 0.605 0.605 1
As12 0.105 0.895 0.105 1
As13 0.389 0.351 0.895 1
As14 0.851 0.111 0.605 1
As15 0.395 0.149 0.111 1
As16 0.649 0.105 0.389 1
As17 0.149 0.111 0.395 1
As18 0.605 0.395 0.605 1
As19 0.395 0.395 0.395 1
As20 0.105 0.105 0.895 1
As21 0.611 0.649 0.895 1
As22 0.149 0.889 0.605 1
As23 0.889 0.605 0.149 1
As24 0.351 0.895 0.389 1
As25 0.851 0.889 0.395 1
As26 0.605 0.149 0.889 1
As27 0.611 0.351 0.105 1
As28 0.649 0.895 0.611 1
As29 0.111 0.395 0.149 1
As30 0.351 0.105 0.611 1
As31 0.105 0.611 0.351 1
As32 0.895 0.105 0.105 1
Ti1 0.000 0.500 0.750 1
Ti2 0.000 0.500 0.250 1
Ti3 0.500 0.500 0.500 1
Ti4 0.000 0.000 0.000 1
Ti5 0.500 0.750 0.000 1
Ti6 0.750 0.000 0.500 1
Ti7 0.500 0.250 0.000 1
Ti8 0.250 0.000 0.500 1


No. 7
# Fe4Bi2O9 | the Materials Project database | r2SCAN | optimized geometry
# E_form ... -1.49 eV/atom
data_Fe4Bi2O9
_chemical_formula_sum 'Fe8 Bi4 O18'
_cell_length_a 6.046
_cell_length_b 8.015
_cell_length_c 8.458
_cell_angle_alpha 90.00
_cell_angle_beta 90.00
_cell_angle_gamma 90.00
_symmetry_space_group_name_H-M 'P 1'
_symmetry_Int_Tables_number 1
loop_
_symmetry_equiv_pos_as_xyz
'x,y,z'
loop_
_atom_site_label
_atom_site_fract_x
_atom_site_fract_y
_atom_site_fract_z
_atom_site_occupancy
O1 0.500 0.369 0.902 1
O2 0.761 0.631 0.794 1
O3 0.500 0.500 0.500 1
O4 0.761 0.131 0.706 1
O5 0.239 0.869 0.294 1
O6 0.239 0.631 0.794 1
O7 0.761 0.869 0.294 1
O8 0.500 0.631 0.098 1
O9 0.000 0.152 0.432 1
O10 0.000 0.848 0.568 1
O11 0.500 0.000 0.000 1
O12 0.761 0.369 0.206 1
O13 0.500 0.131 0.402 1
O14 0.000 0.348 0.932 1
O15 0.239 0.131 0.706 1
O16 0.000 0.652 0.068 1
O17 0.239 0.369 0.206 1
O18 0.500 0.869 0.598 1
Fe1 0.256 0.000 0.500 1
Fe2 0.500 0.646 0.668 1
Fe3 0.500 0.354 0.332 1
Fe4 0.500 0.146 0.832 1
Fe5 0.256 0.500 0.000 1
Fe6 0.744 0.000 0.500 1
Fe7 0.500 0.854 0.168 1
Fe8 0.744 0.500 0.000 1
Bi1 0.000 0.176 0.174 1
Bi2 0.000 0.676 0.326 1
Bi3 0.000 0.324 0.674 1
Bi4 0.000 0.824 0.826 1


No. 8
# Tm2ZnIr | the Materials Project database | r2SCAN | optimized geometry
# E_form ... -0.77 eV/atom
data_Tm2ZnIr
_chemical_formula_sum 'Tm2 Zn1 Ir1'
_cell_length_a 4.822
_cell_length_b 4.822
_cell_length_c 4.822
_cell_angle_alpha 60.00
_cell_angle_beta 60.00
_cell_angle_gamma 60.00
_symmetry_space_group_name_H-M 'P 1'
_symmetry_Int_Tables_number 1
loop_
_symmetry_equiv_pos_as_xyz
'x,y,z'
loop_
_atom_site_label
_atom_site_fract_x
_atom_site_fract_y
_atom_site_fract_z
_atom_site_occupancy
Tm1 0.000 0.000 0.000 1
Tm2 0.500 0.500 0.500 1
Ir1 0.250 0.250 0.250 1
Zn1 0.750 0.750 0.750 1


No. 9
# GdMgIn | the Materials Project database | r2SCAN | optimized geometry
# E_form ... -0.47 eV/atom
data_GdMgIn
_chemical_formula_sum 'Gd3 Mg3 In3'
_cell_length_a 7.559
_cell_length_b 7.559
_cell_length_c 4.703
_cell_angle_alpha 90.00
_cell_angle_beta 90.00
_cell_angle_gamma 120.00
_symmetry_space_group_name_H-M 'P 1'
_symmetry_Int_Tables_number 1
loop_
_symmetry_equiv_pos_as_xyz
'x,y,z'
loop_
_atom_site_label
_atom_site_fract_x
_atom_site_fract_y
_atom_site_fract_z
_atom_site_occupancy
In1 0.000 0.000 0.000 1
In2 0.667 0.333 0.500 1
In3 0.333 0.667 0.500 1
Gd1 0.000 0.435 0.000 1
Gd2 0.565 0.565 0.000 1
Gd3 0.435 0.000 0.000 1
Mg1 0.241 0.241 0.500 1
Mg2 0.759 0.000 0.500 1
Mg3 0.000 0.759 0.500 1


No. 10
# Ce2Ga9Ir3 | the Materials Project database | r2SCAN | optimized geometry
# E_form ... -0.74 eV/atom
data_Ce2Ga9Ir3
_chemical_formula_sum 'Ce4 Ga18 Ir6'
_cell_length_a 7.595
_cell_length_b 7.595
_cell_length_c 9.471
_cell_angle_alpha 90.00
_cell_angle_beta 90.00
_cell_angle_gamma 119.72
_symmetry_space_group_name_H-M 'P 1'
_symmetry_Int_Tables_number 1
loop_
_symmetry_equiv_pos_as_xyz
'x,y,z'
loop_
_atom_site_label
_atom_site_fract_x
_atom_site_fract_y
_atom_site_fract_z
_atom_site_occupancy
Ga1 0.665 0.665 0.436 1
Ga2 0.003 0.335 0.078 1
Ga3 0.335 0.003 0.078 1
Ga4 0.339 0.543 0.250 1
Ga5 0.335 0.003 0.422 1
Ga6 0.665 0.997 0.578 1
Ga7 0.997 0.665 0.578 1
Ga8 0.457 0.661 0.750 1
Ga9 0.997 0.665 0.922 1
Ga10 0.543 0.339 0.250 1
Ga11 0.003 0.335 0.422 1
Ga12 0.870 0.870 0.750 1
Ga13 0.335 0.335 0.564 1
Ga14 0.335 0.335 0.936 1
Ga15 0.661 0.457 0.750 1
Ga16 0.665 0.665 0.064 1
Ga17 0.130 0.130 0.250 1
Ga18 0.665 0.997 0.922 1
Ir1 0.671 0.329 0.500 1
Ir2 0.329 0.671 0.500 1
Ir3 0.329 0.671 0.000 1
Ir4 0.671 0.329 0.000 1
Ir5 0.000 0.000 0.000 1
Ir6 0.000 0.000 0.500 1
Ce1 0.001 0.332 0.750 1
Ce2 0.668 0.999 0.250 1
Ce3 0.332 0.001 0.750 1
Ce4 0.999 0.668 0.250 1


No. 11
# NpCo2 | the Materials Project database | r2SCAN | optimized geometry
# E_form ... -0.08 eV/atom
data_NpCo2
_chemical_formula_sum 'Np2 Co4'
_cell_length_a 5.033
_cell_length_b 5.033
_cell_length_c 5.033
_cell_angle_alpha 59.98
_cell_angle_beta 60.00
_cell_angle_gamma 59.98
_symmetry_space_group_name_H-M 'P 1'
_symmetry_Int_Tables_number 1
loop_
_symmetry_equiv_pos_as_xyz
'x,y,z'
loop_
_atom_site_label
_atom_site_fract_x
_atom_site_fract_y
_atom_site_fract_z
_atom_site_occupancy
Co1 0.000 0.500 0.500 1
Co2 0.500 0.000 0.500 1
Co3 0.500 0.500 0.000 1
Co4 0.500 0.500 0.500 1
Np1 0.875 0.875 0.875 1
Np2 0.125 0.125 0.125 1


No. 12
# Pr4Se3N2 | the Materials Project database | r2SCAN | optimized geometry
# E_form ... -2.00 eV/atom
data_Pr4Se3N2
_chemical_formula_sum 'Pr8 Se6 N4'
_cell_length_a 6.529
_cell_length_b 8.394
_cell_length_c 8.394
_cell_angle_alpha 75.65
_cell_angle_beta 90.17
_cell_angle_gamma 90.17
_symmetry_space_group_name_H-M 'P 1'
_symmetry_Int_Tables_number 1
loop_
_symmetry_equiv_pos_as_xyz
'x,y,z'
loop_
_atom_site_label
_atom_site_fract_x
_atom_site_fract_y
_atom_site_fract_z
_atom_site_occupancy
Se1 0.035 0.015 0.753 1
Se2 0.965 0.985 0.247 1
Se3 0.535 0.753 0.015 1
Se4 0.750 0.403 0.597 1
Se5 0.465 0.247 0.985 1
Se6 0.250 0.597 0.403 1
Pr1 0.470 0.943 0.309 1
Pr2 0.428 0.585 0.744 1
Pr3 0.970 0.309 0.943 1
Pr4 0.530 0.057 0.691 1
Pr5 0.072 0.256 0.415 1
Pr6 0.030 0.691 0.057 1
Pr7 0.572 0.415 0.256 1
Pr8 0.928 0.744 0.585 1
N1 0.585 0.830 0.582 1
N2 0.085 0.582 0.830 1
N3 0.415 0.170 0.418 1
N4 0.915 0.418 0.170 1


No. 13
# Tb5Si2Sb2 | the Materials Project database | r2SCAN | optimized geometry
# E_form ... -1.07 eV/atom
data_Tb5Si2Sb2
_chemical_formula_sum 'Tb10 Si4 Sb4'
_cell_length_a 8.537
_cell_length_b 8.537
_cell_length_c 7.903
_cell_angle_alpha 90.00
_cell_angle_beta 90.00
_cell_angle_gamma 125.06
_symmetry_space_group_name_H-M 'P 1'
_symmetry_Int_Tables_number 1
loop_
_symmetry_equiv_pos_as_xyz
'x,y,z'
loop_
_atom_site_label
_atom_site_fract_x
_atom_site_fract_y
_atom_site_fract_z
_atom_site_occupancy
Si1 0.370 0.370 0.129 1
Si2 0.870 0.870 0.371 1
Si3 0.130 0.130 0.629 1
Si4 0.630 0.630 0.871 1
Tb1 0.707 0.959 0.667 1
Tb2 0.959 0.707 0.667 1
Tb3 0.541 0.793 0.167 1
Tb4 0.793 0.541 0.167 1
Tb5 0.500 0.500 0.500 1
Tb6 0.459 0.207 0.833 1
Tb7 0.293 0.041 0.333 1
Tb8 0.041 0.293 0.333 1
Tb9 0.207 0.459 0.833 1
Tb10 0.000 0.000 0.000 1
Sb1 0.795 0.205 0.000 1
Sb2 0.705 0.295 0.500 1
Sb3 0.295 0.705 0.500 1
Sb4 0.205 0.795 0.000 1